# 1
The following is a PBE+U calculation of Li3Mn2Si2O8 after structural relaxation, from the Materials Project database.

```
30
Lattice="-0.0788 -5.5046 5.1510 6.3499 0.0495 5.1032 0.0974 5.3974 5.0353" Properties=species:S:1:pos:R:3 pbc="T T T"
Li 1.5937 -1.8794 7.5639
Li 1.6813 3.5723 7.5069
Li 4.7637 -1.8099 7.5851
Li 4.8510 3.6412 7.5282
Li 4.6958 -3.7000 10.2783
Li 4.7844 1.7516 10.2201
Mn 0.0416 -1.0270 4.9596
Mn 3.0458 -4.5271 7.7499
Mn 0.1307 4.4201 4.9015
Mn 3.1341 0.9234 7.6936
Si 6.3389 0.8644 12.7001
Si 6.3281 0.9201 7.6060
Si 3.2168 -0.8449 5.1592
Si 3.2256 -0.8986 10.2525
O 6.2147 0.6496 14.3519
O 6.2045 0.7035 9.2578
O 0.0024 -0.6935 1.8986
O 0.0136 -0.7505 6.9955
O 1.2213 -3.7554 7.3207
O 1.3103 1.6948 7.2633
O 1.8364 -1.5589 9.6031
O 1.8259 -1.5034 4.5120
O 3.3249 0.6858 4.6416
O 3.3317 0.6339 9.7377
O 3.1746 -1.0000 6.7966
O 3.2624 4.4511 6.7388
O 4.6054 -1.7294 9.7150
O 4.6935 3.7209 9.6570
O 4.9965 1.6798 12.1987
O 4.9849 1.7353 7.1066
```

## Properties
energy above the most stable polymorph in this dataset: 10.4 meV per atom
VASP energy: -0.2561 hartree per atom



# 2
The following is a PBE+U calculation of Rb4Mo5H4Se2O23 after structural relaxation, from the Materials Project database.

```
152
Lattice="10.3596 0.0000 0.0000 0.0000 24.1947 0.0000 -5.9400 0.0000 10.0212" Properties=species:S:1:pos:R:3 pbc="T T T"
Rb 0.7999 5.9432 0.2426
Rb -2.1701 6.1542 5.2532
Rb 0.1397 1.8714 2.1339
Rb -2.8303 10.2259 7.1445
Rb 0.7775 12.9960 1.7937
Rb -2.1925 23.2960 6.8043
Rb -1.9563 2.6251 9.5325
Rb 1.0137 9.4723 4.5219
Rb 3.4059 14.7224 5.4993
Rb 6.3759 21.5696 0.4887
Rb 6.6120 0.8987 3.2169
Rb 3.6420 11.1987 8.2275
Rb 7.2498 13.9687 2.8767
Rb 4.2798 22.3233 7.8873
Rb 6.5896 18.0405 4.7680
Rb 3.6196 18.2515 9.7786
Mo -3.2538 14.2023 6.7738
Mo -0.2838 22.0897 1.7632
Mo -3.2683 16.8415 9.0155
Mo -0.2983 19.4505 4.0050
Mo -0.4217 2.5280 5.8591
Mo 2.5483 9.5693 0.8485
Mo -0.0316 13.0624 6.3492
Mo 2.9384 23.2296 1.3386
Mo 1.5691 5.0390 4.6087
Mo -1.4009 7.0583 9.6193
Mo 5.8205 17.1363 0.4018
Mo 2.8505 19.1557 5.4124
Mo 1.4811 0.9651 8.6826
Mo 4.4511 11.1323 3.6720
Mo 1.8712 14.6253 9.1727
Mo 4.8412 21.6667 4.1621
Mo 4.7179 4.7441 6.0162
Mo 7.6879 7.3532 1.0056
Mo 4.7033 2.1049 8.2579
Mo 7.6733 9.9924 3.2474
H -0.5931 16.2787 2.9873
H -3.5631 20.0132 7.9979
H -0.1863 15.2181 4.0533
H -3.1564 21.0738 9.0638
H 1.8691 15.7597 2.6655
H -1.1010 20.5323 7.6761
H 3.3518 15.6265 2.2619
H 0.3818 20.6655 7.2725
H 4.0377 3.5292 2.7487
H 1.0677 8.5682 7.7593
H 5.5205 3.6624 2.3451
H 2.5505 8.4350 7.3557
H 7.5759 3.1208 0.9573
H 4.6059 8.9765 5.9679
H 7.9826 4.1814 2.0233
H 5.0126 7.9159 7.0339
Se -0.3370 16.6321 6.8766
Se 2.6330 19.6599 1.8660
Se -1.5698 13.7236 9.8478
Se 1.4002 22.5684 4.8372
Se 3.0193 1.6262 5.1840
Se 5.9893 10.4711 0.1734
Se 1.7865 4.5348 8.1551
Se 4.7565 7.5625 3.1445
O -4.6507 0.6928 8.0299
O -1.6807 11.4045 3.0193
O -4.0623 18.0479 8.0086
O -1.0923 18.2441 2.9980
O -4.8594 2.9786 9.5646
O -1.8894 9.1188 4.5540
O -3.9050 15.1310 8.3534
O -0.9350 21.1610 3.3428
O -0.3829 15.3257 3.0926
O -3.3529 20.9663 8.1032
O -1.8087 13.4765 5.6573
O 1.1613 22.8155 0.6467
O -1.3774 1.3695 4.9387
O -4.3474 10.7279 9.9493
O 1.7293 16.9265 0.4621
O -1.2407 19.3655 5.4727
O -2.0264 16.2598 7.0652
O 0.9436 20.0322 2.0546
O -1.6566 3.4853 6.6306
O 1.3134 8.6120 1.6200
O 0.1067 3.7268 4.3998
O -2.8633 8.3706 9.4104
O -1.5721 13.6342 8.0782
O 1.3979 22.6577 3.0676
O -2.3346 5.5975 9.8031
O 0.6354 6.4998 4.7925
O 0.8450 12.9306 4.8453
O 0.2226 15.3576 5.8961
O 3.1926 20.9344 0.8855
O -2.1250 23.3613 9.8559
O 2.7367 0.7144 1.7739
O -0.2333 11.3830 6.7845
O 2.0753 5.0535 2.9365
O -0.8948 7.0439 7.9471
O -1.6864 17.8493 9.4665
O 1.2836 18.4426 4.4559
O 1.3759 1.3596 4.8818
O -1.5941 10.7377 9.8924
O 4.1975 15.4366 0.1267
O 1.2275 20.8554 5.1373
O 2.6423 15.1759 2.7631
O -0.3277 21.1161 7.7737
O 0.0836 1.4450 7.3995
O 3.0537 10.6524 2.3889
O 1.1355 4.0552 6.5856
O 4.1055 8.0422 1.5750
O 0.3140 16.1525 8.4461
O 3.2841 20.1395 3.4355
O 1.3659 13.5423 7.6323
O 4.3359 22.7497 2.6217
O 4.7473 3.0786 2.2475
O 1.7773 9.0187 7.2581
O 3.1920 3.3392 4.8839
O 0.2220 8.7581 9.8945
O 6.0136 13.4570 0.1288
O 3.0436 22.8350 5.1394
O 3.1360 5.7520 5.5652
O 6.1060 6.3453 0.5546
O 5.3143 17.1508 2.0741
O 2.3443 19.1412 7.0847
O 4.6529 12.8117 3.2367
O 1.6829 23.4803 8.2473
O 6.5446 0.8333 0.1653
O 1.2270 3.2602 9.1356
O 4.1970 8.8371 4.1250
O 3.5746 11.2640 5.1759
O 3.7841 17.6948 5.2287
O 6.7542 18.5972 0.2181
O 3.0216 1.5369 6.9536
O 5.9916 10.5604 1.9430
O 7.2828 15.8241 0.6108
O 4.3128 20.4679 5.6214
O 3.1062 15.5826 8.4012
O 6.0762 20.7094 3.3906
O 3.4759 4.1625 7.9666
O 6.4459 7.9349 2.9560
O 5.6602 4.8292 4.5485
O 2.6902 7.2681 9.5591
O 8.7670 13.4668 0.0719
O 5.7969 22.8252 5.0824
O 3.2582 1.3792 9.3745
O 6.2282 10.7182 4.3639
O 7.7725 3.2284 1.9179
O 4.8025 8.8690 6.9285
O 5.3545 3.0337 6.6784
O 8.3246 9.0637 1.6678
O 6.3089 15.0759 5.4671
O 9.2789 21.2161 0.4566
O 5.5118 5.9505 7.0231
O 8.4818 6.1468 2.0126
O 6.1002 12.7901 7.0018
O 9.0702 23.5018 1.9913
```

## Properties
energy above the most stable polymorph in this dataset: 0.0 meV per atom
VASP energy: -0.2232 hartree per atom



# 3
The following is a PBE+U calculation of Rb2TlFeF6 after structural relaxation, from the Materials Project database.

```
10
Lattice="0.0000 4.5315 4.5315 4.5315 0.0000 4.5315 4.5315 4.5315 0.0000" Properties=species:S:1:pos:R:3 pbc="T T T"
Rb 2.2657 2.2657 2.2657
Rb 6.7972 6.7972 6.7972
Tl 0.0000 0.0000 0.0000
Fe 4.5315 4.5315 4.5315
F 4.5315 4.5315 2.6339
F 4.5315 2.6339 4.5315
F 6.4290 4.5315 4.5315
F 2.6339 4.5315 4.5315
F 4.5315 6.4290 4.5315
F 4.5315 4.5315 6.4290
```

## Properties
VASP energy: -0.1692 hartree per atom